Record 1
A geometry-optimized BaAl9Fe2 structure, computed with PBE-GGA.

The structure in POSCAR format:
```
BaAl9Fe2
1.0
-2.230 3.256 -0.166
4.389 3.304 5.825
2.083 1.036 -7.661
Al Fe Ba
9 2 1
Direct
0.500 0.783 0.566
0.500 0.566 0.783
0.500 0.783 0.217
0.500 0.217 0.783
0.500 0.434 0.217
0.500 0.217 0.434
0.000 0.500 0.500
0.000 0.500 0.000
0.000 0.000 0.500
0.000 0.333 0.667
0.000 0.667 0.333
0.000 0.000 0.000
```

electronic total energy: -4.6975 eV/atom
SG: P6/mmm
calculated volume: 18.27 Å³ per atom
DFT formation energy: -0.317 eV per atom

Record 2
A geometry-optimized Ba3Al3Ga2 structure, computed with PBE-GGA.

The structure in POSCAR format:
```
Ba3Al3Ga2
1.0
1.202 4.752 -3.466
-3.781 -4.244 -1.931
-11.284 7.286 6.078
Ba Al Ga
6 6 4
Direct
0.000 0.000 0.000
0.333 0.667 0.624
0.667 0.333 0.376
0.333 0.667 0.876
0.667 0.333 0.124
0.000 0.000 0.500
0.842 0.685 0.750
0.685 0.842 0.250
0.842 0.158 0.750
0.158 0.842 0.250
0.158 0.315 0.250
0.315 0.158 0.750
0.333 0.667 0.113
0.667 0.333 0.613
0.667 0.333 0.887
0.333 0.667 0.387
```

electronic total energy: -3.2244 eV/atom
SG: P6_3/mmc
calculated volume: 28.76 Å³ per atom
DFT formation energy: -0.343 eV per atom

Record 3
A geometry-optimized Ba5Gd2ZrAl2O13 structure, computed with PBE-GGA.

The structure in POSCAR format:
```
Ba5Gd2ZrAl2O13
1.0
-3.923 0.567 4.596
-2.049 -0.722 -5.668
0.082 -25.263 3.188
Ba Zr O Al Gd
10 2 26 4 4
Direct
0.333 0.667 0.959
0.667 0.333 0.750
0.333 0.667 0.250
0.667 0.333 0.041
0.333 0.667 0.541
0.000 0.000 0.864
0.000 0.000 0.136
0.667 0.333 0.459
0.000 0.000 0.636
0.000 0.000 0.364
0.000 0.000 0.000
0.000 0.000 0.500
0.493 0.987 0.841
0.493 0.507 0.659
0.507 0.013 0.341
0.677 0.838 0.050
0.493 0.507 0.841
0.507 0.013 0.159
0.987 0.493 0.341
0.507 0.493 0.159
0.323 0.162 0.550
0.162 0.323 0.050
0.013 0.507 0.659
0.493 0.987 0.659
0.333 0.667 0.750
0.987 0.493 0.159
0.677 0.838 0.450
0.323 0.162 0.950
0.838 0.677 0.950
0.162 0.323 0.450
0.838 0.677 0.550
0.507 0.493 0.341
0.162 0.838 0.050
0.838 0.162 0.950
0.838 0.162 0.550
0.013 0.507 0.841
0.162 0.838 0.450
0.667 0.333 0.250
0.667 0.333 0.318
0.333 0.667 0.682
0.667 0.333 0.182
0.333 0.667 0.818
0.667 0.333 0.896
0.333 0.667 0.396
0.333 0.667 0.104
0.667 0.333 0.604
```

electronic total energy: -8.1871 eV/atom
SG: P6_3/mmc
calculated volume: 17.66 Å³ per atom
DFT formation energy: -3.440 eV per atom
M_tot: 13.97 μB/f.u.

Record 4
A geometry-optimized BaAlGe structure, computed with PBE-GGA.

The structure in POSCAR format:
```
BaAlGe
1.0
0.521 4.130 -1.382
3.076 -1.882 2.499
2.406 -1.731 -4.265
Ba Al Ge
1 1 1
Direct
0.000 0.000 0.000
0.667 0.333 0.500
0.333 0.667 0.500
```

electronic total energy: -3.9051 eV/atom
SG: P-6m2
calculated volume: 28.85 Å³ per atom
DFT formation energy: -0.476 eV per atom

Record 5
A geometry-optimized Ba3Al2Ge2 structure, computed with PBE-GGA.

The structure in POSCAR format:
```
Ba3Al2Ge2
1.0
-4.048 -0.669 1.498
0.105 -4.808 -1.865
5.767 -0.580 8.953
Ge Ba Al
2 3 2
Direct
0.635 0.635 0.270
0.365 0.365 0.730
0.500 0.000 0.000
0.817 0.817 0.633
0.183 0.183 0.367
0.064 0.564 0.129
0.936 0.436 0.871
```

electronic total energy: -3.6918 eV/atom
SG: Immm
calculated volume: 32.56 Å³ per atom
DFT formation energy: -0.478 eV per atom

Record 6
A geometry-optimized Ba10Al3Ge7 structure, computed with PBE-GGA.

The structure in POSCAR format:
```
Ba10Al3Ge7
1.0
4.939 -8.555 0.000
4.939 8.555 0.000
0.000 0.000 16.641
Ba Ge Al
20 14 6
Direct
0.333 0.667 0.500
0.740 0.000 0.603
0.000 0.740 0.897
0.667 0.333 0.000
0.260 0.260 0.603
0.333 0.667 0.750
0.000 0.260 0.397
0.260 0.000 0.103
0.000 0.740 0.603
0.000 0.260 0.103
0.333 0.667 0.250
0.740 0.000 0.897
0.260 0.260 0.897
0.740 0.740 0.103
0.667 0.333 0.250
0.667 0.333 0.500
0.260 0.000 0.397
0.333 0.667 0.000
0.667 0.333 0.750
0.740 0.740 0.397
0.000 0.000 0.750
0.394 0.394 0.383
0.000 0.394 0.883
0.000 0.000 0.250
0.000 0.394 0.617
0.606 0.606 0.617
0.606 0.000 0.383
0.606 0.000 0.117
0.394 0.000 0.883
0.394 0.000 0.617
0.000 0.606 0.117
0.000 0.606 0.383
0.394 0.394 0.117
0.606 0.606 0.883
0.270 0.000 0.750
0.730 0.730 0.750
0.270 0.270 0.250
0.000 0.730 0.250
0.730 0.000 0.250
0.000 0.270 0.750
```

electronic total energy: -3.6447 eV/atom
SG: P6_3/mcm
calculated volume: 35.16 Å³ per atom
DFT formation energy: -0.505 eV per atom
M_tot: 0.00 μB/f.u.

Record 7
A geometry-optimized Ba7Al4Ge9 structure, computed with PBE-GGA.

The structure in POSCAR format:
```
Ba7Al4Ge9
1.0
0.000 5.209 13.017
4.374 0.000 13.017
4.374 5.209 0.000
Ge Al Ba
9 4 7
Direct
0.788 0.212 0.827
0.899 0.507 0.101
0.806 0.883 0.194
0.300 0.411 0.700
0.493 0.101 0.507
0.589 0.700 0.411
0.173 0.827 0.212
0.761 0.239 0.239
0.117 0.194 0.883
0.062 0.059 0.938
0.941 0.938 0.059
0.012 0.587 0.988
0.413 0.988 0.587
0.037 0.170 0.413
0.956 0.544 0.544
0.456 0.044 0.044
0.830 0.963 0.619
0.372 0.628 0.628
0.381 0.413 0.170
0.587 0.619 0.963
```

electronic total energy: -4.0188 eV/atom
SG: Fmm2
calculated volume: 29.66 Å³ per atom
DFT formation energy: -0.518 eV per atom

Record 8
A geometry-optimized BaAlGeH structure, computed with PBE-GGA.

The structure in POSCAR format:
```
BaAlGeH
1.0
-2.191 -3.795 0.000
-2.191 3.795 0.000
0.000 0.000 -5.250
H Ge Al Ba
1 1 1 1
Direct
0.000 0.000 0.973
0.667 0.333 0.553
0.000 0.000 0.641
0.333 0.667 0.099
```

electronic total energy: -3.9319 eV/atom
SG: P3m1
calculated volume: 21.83 Å³ per atom
DFT formation energy: -0.557 eV per atom
M_tot: 0.00 μB/f.u.
piezoelectric modulus e_max: 0.6 C/m2